# KErO2 GGA-PBE optimized geometry
# Calculated total energy   -6.69 eV per atom
# Energy with MP2020 corrections   -84.44 eV/cell
# Formation energy from the elements   -3.14 eV per atom
data_KErO2
_cell_length_a 3.4460
_cell_length_b 3.4460
_cell_length_c 18.7552
_cell_angle_alpha 90.00
_cell_angle_beta 90.00
_cell_angle_gamma 120.00
_symmetry_space_group_name_H-M 'R -3 m'
_symmetry_Int_Tables_number 166
_symmetry_space_group_name_Hall '-R 3 2"'
loop_
_atom_site_label
_atom_site_type_symbol
_atom_site_fract_x
_atom_site_fract_y
_atom_site_fract_z
K1 K 0.0000 0.0000 0.0000
Er1 Er 0.0000 0.0000 0.5000
O1 O 0.0000 0.0000 0.2279